Record 1
Entry from the Materials Project: a relaxed MnCoPt2 crystal (PBE).

## Properties
V (Å³/cell): 56.0
Energy (eV for the cell shown): -29.15
Total moment (Bohr magnetons per cell): 6.44
ΔE_f (eV per atom): -0.19

Cell and atoms, written as CIF:
```
data_MnCoPt2
_cell_length_a 2.762
_cell_length_b 2.762
_cell_length_c 7.348
_cell_angle_alpha 90.00
_cell_angle_beta 90.00
_cell_angle_gamma 90.00
_symmetry_space_group_name_H-M 'P 1'
_symmetry_Int_Tables_number 1
loop_
_symmetry_equiv_pos_as_xyz
'x,y,z'
loop_
_atom_site_label
_atom_site_fract_x
_atom_site_fract_y
_atom_site_fract_z
_atom_site_occupancy
Mn1 0.000 0.000 0.000 1
Co1 0.000 0.000 0.500 1
Pt1 0.500 0.500 0.258 1
Pt2 0.500 0.500 0.742 1
```



Record 2
Entry from the Materials Project: a relaxed BaSrHo4O8 crystal (PBE).

## Properties
V (Å³/cell): 426.8
Energy (eV for the cell shown): -216.36
Total moment (Bohr magnetons per cell): 0.00
ΔE_f (eV per atom): -3.73

Cell and atoms, written as CIF:
```
data_BaSrHo4O8
_cell_length_a 3.439
_cell_length_b 12.061
_cell_length_c 10.289
_cell_angle_alpha 90.00
_cell_angle_beta 90.00
_cell_angle_gamma 90.00
_symmetry_space_group_name_H-M 'P 1'
_symmetry_Int_Tables_number 1
loop_
_symmetry_equiv_pos_as_xyz
'x,y,z'
loop_
_atom_site_label
_atom_site_fract_x
_atom_site_fract_y
_atom_site_fract_z
_atom_site_occupancy
Ba1 0.000 0.101 0.000 1
Ba2 0.000 0.899 0.500 1
Sr1 0.500 0.397 0.507 1
Sr2 0.500 0.603 0.007 1
Ho1 0.000 0.143 0.330 1
Ho2 0.000 0.363 0.828 1
Ho3 0.000 0.637 0.328 1
Ho4 0.000 0.857 0.830 1
Ho5 0.500 0.143 0.675 1
Ho6 0.500 0.365 0.178 1
Ho7 0.500 0.635 0.678 1
Ho8 0.500 0.857 0.175 1
O1 0.000 0.034 0.736 1
O2 0.000 0.272 0.628 1
O3 0.000 0.330 0.329 1
O4 0.000 0.418 0.041 1
O5 0.000 0.582 0.541 1
O6 0.000 0.670 0.829 1
O7 0.000 0.728 0.128 1
O8 0.000 0.966 0.236 1
O9 0.500 0.090 0.463 1
O10 0.500 0.178 0.185 1
O11 0.500 0.236 0.868 1
O12 0.500 0.466 0.763 1
O13 0.500 0.534 0.263 1
O14 0.500 0.764 0.368 1
O15 0.500 0.822 0.685 1
O16 0.500 0.910 0.963 1
```



Record 3
Entry from the Materials Project: a relaxed NaH6CN2ClO2 crystal (PBE).

## Properties
V (Å³/cell): 289.9
Energy (eV for the cell shown): -140.57
ΔE_f (eV per atom): -0.95

Cell and atoms, written as CIF:
```
data_NaH6CN2ClO2
_cell_length_a 9.668
_cell_length_b 9.668
_cell_length_c 6.440
_cell_angle_alpha 109.05
_cell_angle_beta 109.05
_cell_angle_gamma 30.79
_symmetry_space_group_name_H-M 'P 1'
_symmetry_Int_Tables_number 1
loop_
_symmetry_equiv_pos_as_xyz
'x,y,z'
loop_
_atom_site_label
_atom_site_fract_x
_atom_site_fract_y
_atom_site_fract_z
_atom_site_occupancy
Na1 0.002 0.002 0.240 1
Na2 0.998 0.998 0.760 1
H1 0.199 0.329 0.156 1
H2 0.226 0.135 0.951 1
H3 0.334 0.334 0.599 1
H4 0.341 0.148 0.607 1
H5 0.432 0.481 0.959 1
H6 0.519 0.393 0.449 1
H7 0.519 0.568 0.041 1
H8 0.607 0.481 0.551 1
H9 0.666 0.666 0.401 1
H10 0.671 0.801 0.844 1
H11 0.852 0.659 0.393 1
H12 0.865 0.774 0.049 1
C1 0.618 0.057 0.833 1
C2 0.943 0.382 0.167 1
N1 0.146 0.266 0.092 1
N2 0.419 0.185 0.664 1
N3 0.734 0.854 0.908 1
N4 0.815 0.581 0.336 1
Cl1 0.111 0.653 0.387 1
Cl2 0.347 0.889 0.613 1
O1 0.350 0.650 0.000 1
O2 0.683 0.317 0.500 1
O3 0.696 0.124 0.918 1
O4 0.876 0.304 0.082 1
```



Record 4
Entry from the Materials Project: a relaxed CuS crystal (PBE).

## Properties
V (Å³/cell): 140.4
Energy (eV for the cell shown): -34.39
ΔE_f (eV per atom): -0.43

Cell and atoms, written as CIF:
```
data_CuS
_cell_length_a 5.197
_cell_length_b 5.197
_cell_length_c 5.197
_cell_angle_alpha 90.00
_cell_angle_beta 90.00
_cell_angle_gamma 90.00
_symmetry_space_group_name_H-M 'P 1'
_symmetry_Int_Tables_number 1
loop_
_symmetry_equiv_pos_as_xyz
'x,y,z'
loop_
_atom_site_label
_atom_site_fract_x
_atom_site_fract_y
_atom_site_fract_z
_atom_site_occupancy
Cu1 0.000 0.000 0.000 1
Cu2 0.000 0.500 0.500 1
Cu3 0.500 0.000 0.500 1
Cu4 0.500 0.500 0.000 1
S1 0.250 0.250 0.250 1
S2 0.250 0.750 0.750 1
S3 0.750 0.250 0.750 1
S4 0.750 0.750 0.250 1
```



Record 5
Entry from the Materials Project: a relaxed Eu2Zn2As3 crystal (PBE).

## Properties
V (Å³/cell): 330.0
Energy (eV for the cell shown): -85.51
Total moment (Bohr magnetons per cell): 27.94
ΔE_f (eV per atom): -0.82

Cell and atoms, written as CIF:
```
data_Eu2Zn2As3
_cell_length_a 8.304
_cell_length_b 8.304
_cell_length_c 11.943
_cell_angle_alpha 125.02
_cell_angle_beta 125.02
_cell_angle_gamma 29.87
_symmetry_space_group_name_H-M 'P 1'
_symmetry_Int_Tables_number 1
loop_
_symmetry_equiv_pos_as_xyz
'x,y,z'
loop_
_atom_site_label
_atom_site_fract_x
_atom_site_fract_y
_atom_site_fract_z
_atom_site_occupancy
Eu1 0.105 0.105 0.449 1
Eu2 0.233 0.233 0.836 1
Eu3 0.767 0.767 0.164 1
Eu4 0.895 0.895 0.551 1
Zn1 0.090 0.090 0.153 1
Zn2 0.459 0.459 0.186 1
Zn3 0.541 0.541 0.814 1
Zn4 0.910 0.910 0.847 1
As1 0.114 0.114 0.961 1
As2 0.344 0.344 0.696 1
As3 0.420 0.420 0.372 1
As4 0.580 0.580 0.628 1
As5 0.656 0.656 0.304 1
As6 0.886 0.886 0.039 1
```



Record 6
Entry from the Materials Project: a relaxed SmTlS2 crystal (PBE).

## Properties
V (Å³/cell): 333.8
Energy (eV for the cell shown): -63.65
ΔE_f (eV per atom): -1.72

Cell and atoms, written as CIF:
```
data_SmTlS2
_cell_length_a 4.130
_cell_length_b 4.130
_cell_length_c 22.600
_cell_angle_alpha 90.00
_cell_angle_beta 90.00
_cell_angle_gamma 120.00
_symmetry_space_group_name_H-M 'P 1'
_symmetry_Int_Tables_number 1
loop_
_symmetry_equiv_pos_as_xyz
'x,y,z'
loop_
_atom_site_label
_atom_site_fract_x
_atom_site_fract_y
_atom_site_fract_z
_atom_site_occupancy
Sm1 0.000 0.000 0.000 1
Sm2 0.333 0.667 0.667 1
Sm3 0.667 0.333 0.333 1
Tl1 0.000 0.000 0.500 1
Tl2 0.333 0.667 0.167 1
Tl3 0.667 0.333 0.833 1
S1 0.000 0.000 0.266 1
S2 0.000 0.000 0.734 1
S3 0.333 0.667 0.400 1
S4 0.333 0.667 0.933 1
S5 0.667 0.333 0.067 1
S6 0.667 0.333 0.600 1
```



Record 7
Entry from the Materials Project: a relaxed MoCl5 crystal (PBE).

## Properties
V (Å³/cell): 1464.7
Energy (eV for the cell shown): -198.69
ΔE_f (eV per atom): -1.30
Offset from the most stable computed form (meV per atom): 0

Cell and atoms, written as CIF:
```
data_MoCl5
_cell_length_a 12.358
_cell_length_b 18.268
_cell_length_c 6.488
_cell_angle_alpha 90.00
_cell_angle_beta 90.00
_cell_angle_gamma 90.00
_symmetry_space_group_name_H-M 'P 1'
_symmetry_Int_Tables_number 1
loop_
_symmetry_equiv_pos_as_xyz
'x,y,z'
loop_
_atom_site_label
_atom_site_fract_x
_atom_site_fract_y
_atom_site_fract_z
_atom_site_occupancy
Mo1 0.125 0.143 0.090 1
Mo2 0.125 0.357 0.090 1
Mo3 0.375 0.643 0.590 1
Mo4 0.375 0.857 0.590 1
Mo5 0.625 0.143 0.410 1
Mo6 0.625 0.357 0.410 1
Mo7 0.875 0.643 0.910 1
Mo8 0.875 0.857 0.910 1
Cl1 0.010 0.156 0.816 1
Cl2 0.010 0.344 0.816 1
Cl3 0.016 0.061 0.252 1
Cl4 0.016 0.439 0.252 1
Cl5 0.021 0.250 0.246 1
Cl6 0.229 0.250 0.935 1
Cl7 0.233 0.062 0.926 1
Cl8 0.233 0.438 0.926 1
Cl9 0.238 0.156 0.366 1
Cl10 0.238 0.344 0.366 1
Cl11 0.262 0.656 0.866 1
Cl12 0.262 0.844 0.866 1
Cl13 0.267 0.562 0.426 1
Cl14 0.267 0.938 0.426 1
Cl15 0.271 0.750 0.435 1
Cl16 0.479 0.750 0.746 1
Cl17 0.484 0.561 0.752 1
Cl18 0.484 0.939 0.752 1
Cl19 0.490 0.656 0.316 1
Cl20 0.490 0.844 0.316 1
Cl21 0.510 0.156 0.684 1
Cl22 0.510 0.344 0.684 1
Cl23 0.516 0.061 0.248 1
Cl24 0.516 0.439 0.248 1
Cl25 0.521 0.250 0.254 1
Cl26 0.729 0.250 0.565 1
Cl27 0.733 0.062 0.574 1
Cl28 0.733 0.438 0.574 1
Cl29 0.738 0.156 0.134 1
Cl30 0.738 0.344 0.134 1
Cl31 0.762 0.656 0.634 1
Cl32 0.762 0.844 0.634 1
Cl33 0.767 0.562 0.074 1
Cl34 0.767 0.938 0.074 1
Cl35 0.771 0.750 0.065 1
Cl36 0.979 0.750 0.754 1
Cl37 0.984 0.561 0.748 1
Cl38 0.984 0.939 0.748 1
Cl39 0.990 0.656 0.184 1
Cl40 0.990 0.844 0.184 1
```



Record 8
Entry from the Materials Project: a relaxed ThGeS crystal (PBE).

## Properties
V (Å³/cell): 270.4
Energy (eV for the cell shown): -81.74
ΔE_f (eV per atom): -1.59

Cell and atoms, written as CIF:
```
data_ThGeS
_cell_length_a 3.969
_cell_length_b 3.969
_cell_length_c 17.167
_cell_angle_alpha 90.00
_cell_angle_beta 90.00
_cell_angle_gamma 90.00
_symmetry_space_group_name_H-M 'P 1'
_symmetry_Int_Tables_number 1
loop_
_symmetry_equiv_pos_as_xyz
'x,y,z'
loop_
_atom_site_label
_atom_site_fract_x
_atom_site_fract_y
_atom_site_fract_z
_atom_site_occupancy
Th1 0.000 0.000 0.140 1
Th2 0.000 0.000 0.860 1
Th3 0.500 0.500 0.360 1
Th4 0.500 0.500 0.640 1
Ge1 0.000 0.500 0.000 1
Ge2 0.000 0.500 0.500 1
Ge3 0.500 0.000 0.000 1
Ge4 0.500 0.000 0.500 1
S1 0.000 0.000 0.313 1
S2 0.000 0.000 0.687 1
S3 0.500 0.500 0.187 1
S4 0.500 0.500 0.813 1
```